A:
Here is crystalline CeMgZr7O16 at its relaxed geometry from Materials Project. Energies are from PBE.

Output
M_tot = 1.313 μB per cell
crystal system = tetragonal

```
data_CeMgZr7O16
_cell_length_a 7.487
_cell_length_b 7.487
_cell_length_c 5.468
_cell_angle_alpha 90.00
_cell_angle_beta 90.00
_cell_angle_gamma 90.00
_symmetry_space_group_name_H-M 'P 1'
_symmetry_Int_Tables_number 1
loop_
_symmetry_equiv_pos_as_xyz
'x,y,z'
loop_
_atom_site_label
_atom_site_fract_x
_atom_site_fract_y
_atom_site_fract_z
_atom_site_occupancy
Ce1 0.000 0.000 0.000 1
Mg1 0.000 0.000 0.500 1
Zr1 0.000 0.500 0.988 1
Zr2 0.269 0.269 0.500 1
Zr3 0.269 0.731 0.500 1
Zr4 0.500 0.000 0.012 1
Zr5 0.500 0.500 0.000 1
Zr6 0.731 0.269 0.500 1
Zr7 0.731 0.731 0.500 1
O1 0.000 0.228 0.666 1
O2 0.000 0.281 0.202 1
O3 0.000 0.719 0.202 1
O4 0.000 0.772 0.666 1
O5 0.228 0.000 0.334 1
O6 0.231 0.500 0.779 1
O7 0.281 0.000 0.798 1
O8 0.292 0.500 0.286 1
O9 0.500 0.231 0.221 1
O10 0.500 0.292 0.714 1
O11 0.500 0.708 0.714 1
O12 0.500 0.769 0.221 1
O13 0.708 0.500 0.286 1
O14 0.719 0.000 0.798 1
O15 0.769 0.500 0.779 1
O16 0.772 0.000 0.334 1
```



B:
Here is crystalline CeMgZr7O16 at its relaxed geometry from Materials Project. Energies are from PBE.

Output
M_tot = 0.678 μB per cell
crystal system = monoclinic

```
data_CeMgZr7O16
_cell_length_a 7.487
_cell_length_b 7.487
_cell_length_c 5.433
_cell_angle_alpha 93.58
_cell_angle_beta 93.58
_cell_angle_gamma 90.75
_symmetry_space_group_name_H-M 'P 1'
_symmetry_Int_Tables_number 1
loop_
_symmetry_equiv_pos_as_xyz
'x,y,z'
loop_
_atom_site_label
_atom_site_fract_x
_atom_site_fract_y
_atom_site_fract_z
_atom_site_occupancy
Ce1 0.000 0.000 0.000 1
Mg1 0.741 0.259 0.000 1
Zr1 0.005 0.545 0.996 1
Zr2 0.186 0.288 0.502 1
Zr3 0.220 0.780 0.500 1
Zr4 0.455 0.995 0.004 1
Zr5 0.464 0.536 0.000 1
Zr6 0.692 0.308 0.500 1
Zr7 0.712 0.814 0.498 1
O1 0.219 0.525 0.772 1
O2 0.236 0.037 0.755 1
O3 0.238 0.521 0.275 1
O4 0.242 0.039 0.288 1
O5 0.454 0.312 0.645 1
O6 0.475 0.781 0.228 1
O7 0.479 0.762 0.725 1
O8 0.504 0.276 0.133 1
O9 0.688 0.546 0.355 1
O10 0.696 0.037 0.792 1
O11 0.719 0.043 0.295 1
O12 0.724 0.496 0.867 1
O13 0.957 0.281 0.705 1
O14 0.961 0.758 0.712 1
O15 0.963 0.304 0.208 1
O16 0.963 0.764 0.245 1
```



Order of stability, best first: B, A



A:
Here is crystalline Te2MoW2Se2S2 at its relaxed geometry from Materials Project. Energies are from PBE.

Output
M_tot = 0.000 μB per cell
crystal system = trigonal

```
data_Te2MoW2Se2S2
_cell_length_a 3.349
_cell_length_b 3.349
_cell_length_c 31.006
_cell_angle_alpha 90.00
_cell_angle_beta 90.00
_cell_angle_gamma 120.00
_symmetry_space_group_name_H-M 'P 1'
_symmetry_Int_Tables_number 1
loop_
_symmetry_equiv_pos_as_xyz
'x,y,z'
loop_
_atom_site_label
_atom_site_fract_x
_atom_site_fract_y
_atom_site_fract_z
_atom_site_occupancy
Te1 0.000 0.000 0.000 1
Te2 0.000 0.000 0.123 1
Mo1 0.000 0.000 0.830 1
W1 0.667 0.333 0.061 1
W2 0.667 0.333 0.599 1
Se1 0.667 0.333 0.776 1
Se2 0.667 0.333 0.884 1
S1 0.000 0.000 0.550 1
S2 0.000 0.000 0.648 1
```



B:
Here is crystalline Te2MoW2Se2S2 at its relaxed geometry from Materials Project. Energies are from PBE.

Output
M_tot = 0.002 μB per cell
crystal system = trigonal

```
data_Te2MoW2Se2S2
_cell_length_a 3.345
_cell_length_b 3.345
_cell_length_c 30.976
_cell_angle_alpha 90.00
_cell_angle_beta 90.00
_cell_angle_gamma 120.00
_symmetry_space_group_name_H-M 'P 1'
_symmetry_Int_Tables_number 1
loop_
_symmetry_equiv_pos_as_xyz
'x,y,z'
loop_
_atom_site_label
_atom_site_fract_x
_atom_site_fract_y
_atom_site_fract_z
_atom_site_occupancy
Te1 0.000 0.000 0.000 1
Te2 0.000 0.000 0.122 1
Mo1 0.667 0.333 0.061 1
W1 0.000 0.000 0.292 1
W2 0.667 0.333 0.524 1
Se1 0.000 0.000 0.470 1
Se2 0.000 0.000 0.578 1
S1 0.667 0.333 0.243 1
S2 0.667 0.333 0.342 1
```



Order of stability, best first: B, A



A:
Here is crystalline Te2MoW2Se2S2 at its relaxed geometry from Materials Project. Energies are from PBE.

Output
M_tot = 0.000 μB per cell
crystal system = trigonal

```
data_Te2MoW2Se2S2
_cell_length_a 3.351
_cell_length_b 3.351
_cell_length_c 30.984
_cell_angle_alpha 90.00
_cell_angle_beta 90.00
_cell_angle_gamma 120.00
_symmetry_space_group_name_H-M 'P 1'
_symmetry_Int_Tables_number 1
loop_
_symmetry_equiv_pos_as_xyz
'x,y,z'
loop_
_atom_site_label
_atom_site_fract_x
_atom_site_fract_y
_atom_site_fract_z
_atom_site_occupancy
Te1 0.000 0.000 0.000 1
Te2 0.000 0.000 0.123 1
Mo1 0.000 0.000 0.830 1
W1 0.667 0.333 0.062 1
W2 0.667 0.333 0.599 1
Se1 0.000 0.000 0.545 1
Se2 0.000 0.000 0.653 1
S1 0.667 0.333 0.781 1
S2 0.667 0.333 0.879 1
```



B:
Here is crystalline Te2MoW2Se2S2 at its relaxed geometry from Materials Project. Energies are from PBE.

Output
M_tot = 0.004 μB per cell
crystal system = trigonal

```
data_Te2MoW2Se2S2
_cell_length_a 3.349
_cell_length_b 3.349
_cell_length_c 31.066
_cell_angle_alpha 90.00
_cell_angle_beta 90.00
_cell_angle_gamma 120.00
_symmetry_space_group_name_H-M 'P 1'
_symmetry_Int_Tables_number 1
loop_
_symmetry_equiv_pos_as_xyz
'x,y,z'
loop_
_atom_site_label
_atom_site_fract_x
_atom_site_fract_y
_atom_site_fract_z
_atom_site_occupancy
Te1 0.000 0.000 0.000 1
Te2 0.000 0.000 0.123 1
Mo1 0.000 0.000 0.830 1
W1 0.000 0.000 0.293 1
W2 0.333 0.667 0.061 1
Se1 0.333 0.667 0.776 1
Se2 0.333 0.667 0.884 1
S1 0.333 0.667 0.244 1
S2 0.333 0.667 0.342 1
```



Order of stability, best first: B, A



A:
Here is crystalline SmCO4 at its relaxed geometry from Materials Project. Energies are from PBE.

Output
M_tot = 4.001 μB per cell
crystal system = orthorhombic

```
data_SmCO4
_cell_length_a 7.246
_cell_length_b 4.938
_cell_length_c 8.430
_cell_angle_alpha 90.00
_cell_angle_beta 90.00
_cell_angle_gamma 90.00
_symmetry_space_group_name_H-M 'P 1'
_symmetry_Int_Tables_number 1
loop_
_symmetry_equiv_pos_as_xyz
'x,y,z'
loop_
_atom_site_label
_atom_site_fract_x
_atom_site_fract_y
_atom_site_fract_z
_atom_site_occupancy
Sm1 0.143 0.250 0.165 1
Sm2 0.357 0.750 0.665 1
Sm3 0.643 0.250 0.335 1
Sm4 0.857 0.750 0.835 1
C1 0.199 0.250 0.822 1
C2 0.301 0.750 0.322 1
C3 0.699 0.250 0.678 1
C4 0.801 0.750 0.178 1
O1 0.039 0.750 0.603 1
O2 0.153 0.022 0.889 1
O3 0.153 0.478 0.889 1
O4 0.204 0.750 0.195 1
O5 0.296 0.250 0.695 1
O6 0.347 0.522 0.389 1
O7 0.347 0.978 0.389 1
O8 0.461 0.250 0.103 1
O9 0.539 0.750 0.897 1
O10 0.653 0.022 0.611 1
O11 0.653 0.478 0.611 1
O12 0.704 0.750 0.305 1
O13 0.796 0.250 0.805 1
O14 0.847 0.522 0.111 1
O15 0.847 0.978 0.111 1
O16 0.961 0.250 0.397 1
```



B:
Here is crystalline SmCO4 at its relaxed geometry from Materials Project. Energies are from PBE.

Output
M_tot = 18.000 μB per cell
crystal system = hexagonal

```
data_SmCO4
_cell_length_a 12.376
_cell_length_b 12.376
_cell_length_c 9.822
_cell_angle_alpha 90.00
_cell_angle_beta 90.00
_cell_angle_gamma 120.00
_symmetry_space_group_name_H-M 'P 1'
_symmetry_Int_Tables_number 1
loop_
_symmetry_equiv_pos_as_xyz
'x,y,z'
loop_
_atom_site_label
_atom_site_fract_x
_atom_site_fract_y
_atom_site_fract_z
_atom_site_occupancy
Sm1 0.103 0.548 0.240 1
Sm2 0.103 0.548 0.760 1
Sm3 0.111 0.229 0.257 1
Sm4 0.111 0.229 0.743 1
Sm5 0.118 0.889 0.257 1
Sm6 0.118 0.889 0.743 1
Sm7 0.437 0.225 0.256 1
Sm8 0.437 0.225 0.744 1
Sm9 0.445 0.897 0.240 1
Sm10 0.445 0.897 0.760 1
Sm11 0.452 0.555 0.240 1
Sm12 0.452 0.555 0.760 1
Sm13 0.771 0.882 0.257 1
Sm14 0.771 0.882 0.743 1
Sm15 0.775 0.212 0.256 1
Sm16 0.775 0.212 0.744 1
Sm17 0.788 0.563 0.256 1
Sm18 0.788 0.563 0.744 1
C1 0.152 0.465 0.500 1
C2 0.196 0.177 0.000 1
C3 0.204 0.115 0.500 1
C4 0.221 0.464 0.000 1
C5 0.243 0.779 0.000 1
C6 0.312 0.848 0.500 1
C7 0.497 0.362 0.000 1
C8 0.535 0.688 0.500 1
C9 0.536 0.757 0.000 1
C10 0.559 0.430 0.500 1
C11 0.570 0.129 0.500 1
C12 0.638 0.135 0.000 1
C13 0.823 0.020 0.000 1
C14 0.865 0.503 0.000 1
C15 0.871 0.441 0.500 1
C16 0.885 0.089 0.500 1
C17 0.911 0.796 0.500 1
C18 0.980 0.804 0.000 1
O1 0.000 0.000 0.247 1
O2 0.000 0.000 0.753 1
O3 0.011 0.669 0.308 1
O4 0.011 0.669 0.692 1
O5 0.031 0.862 0.500 1
O6 0.088 0.907 0.000 1
O7 0.093 0.181 0.000 1
O8 0.138 0.169 0.500 1
O9 0.150 0.568 0.500 1
O10 0.153 0.415 0.385 1
O11 0.153 0.415 0.615 1
O12 0.162 0.526 0.000 1
O13 0.184 0.750 0.115 1
O14 0.184 0.750 0.885 1
O15 0.237 0.089 0.385 1
O16 0.237 0.089 0.615 1
O17 0.245 0.176 0.116 1
O18 0.245 0.176 0.884 1
O19 0.250 0.434 0.115 1
O20 0.250 0.434 0.885 1
O21 0.262 0.847 0.385 1
O22 0.262 0.847 0.615 1
O23 0.331 0.341 0.308 1
O24 0.331 0.341 0.692 1
O25 0.333 0.667 0.258 1
O26 0.333 0.667 0.742 1
O27 0.335 0.009 0.194 1
O28 0.335 0.009 0.806 1
O29 0.364 0.838 0.000 1
O30 0.418 0.850 0.500 1
O31 0.432 0.582 0.500 1
O32 0.474 0.636 0.000 1
O33 0.492 0.255 0.000 1
O34 0.494 0.308 0.500 1
O35 0.497 0.412 0.115 1
O36 0.497 0.412 0.885 1
O37 0.512 0.102 0.385 1
O38 0.512 0.102 0.615 1
O39 0.566 0.816 0.115 1
O40 0.566 0.816 0.885 1
O41 0.585 0.738 0.385 1
O42 0.585 0.738 0.615 1
O43 0.588 0.085 0.115 1
O44 0.588 0.085 0.885 1
O45 0.590 0.488 0.385 1
O46 0.590 0.488 0.615 1
O47 0.659 0.989 0.308 1
O48 0.659 0.989 0.692 1
O49 0.667 0.333 0.244 1
O50 0.667 0.333 0.756 1
O51 0.674 0.665 0.194 1
O52 0.674 0.665 0.806 1
O53 0.692 0.185 0.500 1
O54 0.745 0.237 0.000 1
O55 0.763 0.508 0.000 1
O56 0.815 0.506 0.500 1
O57 0.819 0.912 0.000 1
O58 0.824 0.069 0.116 1
O59 0.824 0.069 0.884 1
O60 0.831 0.969 0.500 1
O61 0.852 0.763 0.385 1
O62 0.852 0.763 0.615 1
O63 0.898 0.410 0.385 1
O64 0.898 0.410 0.615 1
O65 0.911 0.148 0.385 1
O66 0.911 0.148 0.615 1
O67 0.915 0.503 0.115 1
O68 0.915 0.503 0.885 1
O69 0.931 0.755 0.116 1
O70 0.931 0.755 0.884 1
O71 0.991 0.326 0.194 1
O72 0.991 0.326 0.806 1
```



Order of stability, best first: B, A